{
  "formula": "Li3Cr2P3O12",
  "functional": "PBE with a Hubbard U",
  "state": "relaxed",
  "relative_energy_ev_per_fu": 0.61,
  "formation_energy_ev_per_atom": -2.64,
  "total_energy_ev_per_atom": -7.06,
  "total_magnetization_mub_per_cell": 12.00,
  "rho_g_cm3": 3.048,
  "sg": "C2/c (15)",
  "lattice_angstrom": [[-6.2229, -5.5968, 0.8006], [1.0786, -7.5034, -3.6366], [1.2640, -6.8303, 5.0148]],
  "species": ["Li", "Li", "Li", "Li", "Li", "Li", "O", "O", "O", "O", "O", "O", "O", "O", "O", "O", "O", "O", "O", "O", "O", "O", "O", "O", "O", "O", "O", "O", "O", "O", "Cr", "Cr", "Cr", "Cr", "P", "P", "P", "P", "P", "P"],
  "frac_coords": [[0.0000, 0.5000, 0.0000], [0.1575, 0.2370, 0.3595], [0.7630, 0.8425, 0.1405], [0.2370, 0.1575, 0.8595], [0.5000, 0.0000, 0.5000], [0.8425, 0.7630, 0.6405], [0.3189, 0.6174, 0.4646], [0.9824, 0.8735, 0.2053], [0.1886, 0.4522, 0.3895], [0.5478, 0.8114, 0.1105], [0.4074, 0.2498, 0.5707], [0.1265, 0.0176, 0.2947], [0.6174, 0.3189, 0.9646], [0.8735, 0.9824, 0.7053], [0.0176, 0.1265, 0.7947], [0.5926, 0.7502, 0.4293], [0.2498, 0.4074, 0.0707], [0.5567, 0.9047, 0.7707], [0.0530, 0.7707, 0.9220], [0.6811, 0.3826, 0.5354], [0.3826, 0.6811, 0.0354], [0.9047, 0.5567, 0.2707], [0.8114, 0.5478, 0.6105], [0.9470, 0.2293, 0.0780], [0.4522, 0.1886, 0.8895], [0.7502, 0.5926, 0.9293], [0.0953, 0.4433, 0.7293], [0.2293, 0.9470, 0.5780], [0.7707, 0.0530, 0.4220], [0.4433, 0.0953, 0.2293], [0.8583, 0.3659, 0.8512], [0.3659, 0.8583, 0.3512], [0.1417, 0.6341, 0.1488], [0.6341, 0.1417, 0.6488], [0.0431, 0.9569, 0.7500], [0.9569, 0.0431, 0.2500], [0.5525, 0.7448, 0.9682], [0.2552, 0.4475, 0.5318], [0.4475, 0.2552, 0.0318], [0.7448, 0.5525, 0.4682]]
}


{
  "formula": "Li3La8Ti9Cr3O36",
  "functional": "PBE with a Hubbard U",
  "state": "relaxed",
  "formation_energy_ev_per_atom": -3.42,
  "total_energy_ev_per_atom": -8.38,
  "total_magnetization_mub_per_cell": 9.00,
  "rho_g_cm3": 5.378,
  "sg": "P1 (1)",
  "lattice_angstrom": [[5.5147, 0.0000, 0.0000], [-0.0007, 5.5173, 0.0000], [-0.0052, -0.0176, 23.2863]],
  "species": ["O", "O", "O", "O", "O", "O", "O", "O", "O", "O", "O", "O", "O", "O", "O", "O", "O", "O", "O", "O", "O", "O", "O", "O", "O", "O", "O", "O", "O", "O", "O", "O", "O", "O", "O", "O", "La", "La", "La", "La", "La", "La", "La", "La", "Ti", "Ti", "Ti", "Ti", "Ti", "Ti", "Ti", "Ti", "Ti", "Li", "Li", "Li", "Cr", "Cr", "Cr"],
  "frac_coords": [[0.5016, 0.9203, 0.0821], [0.4993, 0.0883, 0.5843], [0.7553, 0.2407, 0.8172], [0.7484, 0.2516, 0.1520], [0.7579, 0.2461, 0.0142], [0.9987, 0.4263, 0.2510], [0.7550, 0.7486, 0.9866], [0.5008, 0.9187, 0.7493], [0.2600, 0.2635, 0.3427], [0.2546, 0.7410, 0.5154], [0.7448, 0.7410, 0.5154], [0.2533, 0.7398, 0.8484], [0.9984, 0.4194, 0.5842], [0.2460, 0.2423, 0.8175], [0.2427, 0.2460, 0.0140], [0.9980, 0.4221, 0.9156], [0.2463, 0.2426, 0.6824], [0.2534, 0.2533, 0.1520], [0.4992, 0.0686, 0.2509], [0.7519, 0.7520, 0.1813], [0.7458, 0.7489, 0.3191], [0.0012, 0.5702, 0.0820], [0.7389, 0.2640, 0.3430], [0.4995, 0.0933, 0.9138], [0.9999, 0.5957, 0.7499], [0.2522, 0.7413, 0.6514], [0.7451, 0.7386, 0.8485], [0.2542, 0.7483, 0.3190], [0.0024, 0.5661, 0.4176], [0.2463, 0.7537, 0.1813], [0.7458, 0.2501, 0.4890], [0.2449, 0.7490, 0.9866], [0.7547, 0.2408, 0.6826], [0.4998, 0.9285, 0.4170], [0.2531, 0.2496, 0.4893], [0.7455, 0.7399, 0.6512], [0.0008, 0.9936, 0.9144], [0.0000, 0.0046, 0.0840], [0.9999, 0.9925, 0.2519], [0.4976, 0.4961, 0.4232], [0.4995, 0.4933, 0.7494], [0.5003, 0.4915, 0.0801], [0.4999, 0.5016, 0.2490], [0.0012, 0.9895, 0.5823], [0.9994, 0.5000, 0.5019], [0.5001, 0.0097, 0.5030], [0.5007, 0.0027, 0.6679], [0.9993, 0.4970, 0.3397], [0.4996, 0.9993, 0.3389], [0.0000, 0.5086, 0.8306], [0.5002, 0.0093, 0.8342], [0.0003, 0.5035, 0.9952], [0.0004, 0.5036, 0.6663], [0.5041, 0.5196, 0.5833], [0.9954, 0.0199, 0.7476], [0.5051, 0.5121, 0.9123], [0.0000, 0.5000, 0.1667], [0.5000, 0.9996, 0.1665], [0.5003, 0.0022, 0.9971]]
}


{
  "formula": "Fe10O9F11",
  "functional": "PBE with a Hubbard U",
  "state": "relaxed",
  "relative_energy_ev_per_fu": 0.49,
  "formation_energy_ev_per_atom": -2.07,
  "total_energy_ev_per_atom": -5.95,
  "total_magnetization_mub_per_cell": 49.00,
  "rho_g_cm3": 4.301,
  "sg": "P1 (1)",
  "lattice_angstrom": [[4.7706, 0.0000, 0.0000], [-0.2724, 4.7660, 0.0000], [-0.0353, -0.0322, 15.4776]],
  "species": ["F", "F", "F", "F", "F", "F", "F", "F", "F", "F", "F", "Fe", "Fe", "Fe", "Fe", "Fe", "Fe", "Fe", "Fe", "Fe", "Fe", "O", "O", "O", "O", "O", "O", "O", "O", "O"],
  "frac_coords": [[0.1986, 0.8123, 0.8984], [0.7999, 0.1917, 0.0969], [0.7063, 0.7127, 0.8029], [0.1969, 0.7932, 0.0954], [0.2868, 0.2919, 0.1972], [0.7929, 0.2112, 0.3071], [0.8159, 0.1925, 0.8974], [0.7093, 0.7106, 0.4039], [0.8031, 0.1956, 0.7021], [0.1953, 0.8052, 0.4987], [0.8123, 0.1856, 0.4987], [0.9789, 0.9667, 0.2065], [0.4735, 0.5259, 0.3004], [0.0390, 0.0168, 0.7937], [0.5138, 0.5083, 0.0955], [0.4957, 0.4864, 0.9045], [0.4603, 0.5172, 0.6940], [0.4974, 0.4774, 0.5053], [0.0014, 0.9995, 0.0020], [0.0400, 0.0168, 0.3931], [0.9998, 0.9777, 0.6023], [0.7051, 0.6988, 0.9963], [0.3020, 0.2956, 0.0004], [0.6905, 0.6918, 0.5991], [0.3189, 0.3185, 0.4023], [0.1875, 0.8103, 0.7009], [0.3167, 0.3211, 0.8015], [0.2906, 0.2932, 0.5992], [0.2008, 0.8031, 0.3060], [0.6708, 0.6727, 0.1982]]
}


{
  "formula": "CaMnO2",
  "functional": "PBE with a Hubbard U",
  "state": "relaxed",
  "formation_energy_ev_per_atom": -2.63,
  "total_energy_ev_per_atom": -7.13,
  "rho_g_cm3": 4.161,
  "lattice_angstrom": [[3.2688, 0.0004, -4.7153], [0.0026, -6.5521, 0.0004], [-3.2861, -0.0010, -4.7273]],
  "species": ["O", "O", "O", "O", "O", "O", "O", "O", "Mn", "Mn", "Mn", "Mn", "Ca", "Ca", "Ca", "Ca"],
  "frac_coords": [[0.2163, 0.3597, 0.7784], [0.7189, 0.6162, 0.7811], [0.2189, 0.6162, 0.2811], [0.7162, 0.1403, 0.7785], [0.2188, 0.8838, 0.7813], [0.7188, 0.8838, 0.2813], [0.2162, 0.1403, 0.2785], [0.7163, 0.3597, 0.2784], [0.4707, 0.3711, 0.0335], [0.9707, 0.3712, 0.5335], [0.9708, 0.1288, 0.0335], [0.4708, 0.1289, 0.5335], [0.4693, 0.8845, 0.0317], [0.9693, 0.6155, 0.0317], [0.4693, 0.6155, 0.5317], [0.9693, 0.8845, 0.5317]]
}


{
  "formula": "FeNiO3",
  "functional": "PBE with a Hubbard U",
  "state": "relaxed",
  "formation_energy_ev_per_atom": -1.28,
  "total_energy_ev_per_atom": -5.72,
  "total_magnetization_mub_per_cell": 4.00,
  "rho_g_cm3": 5.296,
  "sg": "R-3 (148)",
  "lattice_angstrom": [[1.4772, 3.2283, -3.5997], [1.2201, 3.6967, 3.8160], [4.7017, 1.8585, 0.0456]],
  "species": ["Ni", "Ni", "O", "O", "O", "O", "O", "O", "Fe", "Fe"],
  "frac_coords": [[0.3551, 0.0654, 0.2897], [0.6449, 0.9346, 0.7103], [0.7680, 0.2579, 0.7905], [0.2320, 0.7421, 0.2095], [0.4416, 0.2579, 0.5101], [0.0484, 0.2579, 0.1836], [0.9516, 0.7421, 0.8164], [0.5585, 0.7421, 0.4899], [0.8485, 0.5454, 0.3030], [0.1515, 0.4545, 0.6970]]
}


{
  "formula": "LiMnP3HO10",
  "functional": "PBE with a Hubbard U",
  "state": "relaxed",
  "relative_energy_ev_per_fu": 0.72,
  "formation_energy_ev_per_atom": -2.38,
  "total_energy_ev_per_atom": -6.86,
  "total_magnetization_mub_per_cell": 8.00,
  "rho_g_cm3": 2.396,
  "sg": "C2/c (15)",
  "lattice_angstrom": [[4.0553, 6.0757, 0.0000], [-4.0553, 6.0757, 0.0000], [0.0000, 3.2201, 8.8823]],
  "species": ["P", "P", "P", "P", "P", "P", "O", "O", "O", "O", "O", "O", "O", "O", "O", "O", "O", "O", "O", "O", "O", "O", "O", "O", "O", "O", "Mn", "Mn", "H", "H", "Li", "Li"],
  "frac_coords": [[0.7231, 0.8612, 0.2943], [0.8627, 0.1373, 0.7500], [0.1373, 0.8627, 0.2500], [0.8612, 0.7231, 0.7943], [0.1388, 0.2769, 0.2057], [0.2769, 0.1388, 0.7057], [0.7024, 0.1676, 0.8899], [0.0384, 0.6072, 0.8782], [0.3466, 0.2277, 0.0992], [0.9616, 0.3928, 0.1218], [0.2976, 0.8324, 0.1101], [0.7723, 0.6534, 0.4008], [0.0988, 0.0695, 0.2999], [0.2277, 0.3466, 0.5992], [0.1676, 0.7024, 0.3899], [0.6254, 0.8477, 0.1774], [0.3928, 0.9616, 0.6218], [0.1523, 0.3746, 0.3226], [0.9012, 0.9305, 0.7001], [0.9305, 0.9012, 0.2001], [0.8477, 0.6254, 0.6774], [0.3746, 0.1523, 0.8226], [0.6072, 0.0384, 0.3782], [0.8324, 0.2976, 0.6101], [0.0695, 0.0988, 0.7999], [0.6534, 0.7723, 0.9008], [0.5000, 0.0000, 0.0000], [0.0000, 0.5000, 0.5000], [0.0000, 0.5000, 0.0000], [0.5000, 0.0000, 0.5000], [0.5656, 0.4344, 0.2500], [0.4344, 0.5656, 0.7500]]
}


{
  "formula": "Li2FeF4",
  "functional": "PBE with a Hubbard U",
  "state": "relaxed",
  "relative_energy_ev_per_fu": 0.34,
  "formation_energy_ev_per_atom": -2.85,
  "total_energy_ev_per_atom": -5.11,
  "total_magnetization_mub_per_cell": 32.00,
  "rho_g_cm3": 2.997,
  "sg": "Pna2_1 (33)",
  "lattice_angstrom": [[-3.3406, 3.1215, 5.8182], [-2.0424, -8.0765, 3.1604], [8.4471, -0.1969, 4.9557]],
  "species": ["Li", "Li", "Li", "Li", "Li", "Li", "Li", "Li", "Li", "Li", "Li", "Li", "Li", "Li", "Li", "Li", "F", "F", "F", "F", "F", "F", "F", "F", "F", "F", "F", "F", "F", "F", "F", "F", "F", "F", "F", "F", "F", "F", "F", "F", "F", "F", "F", "F", "F", "F", "F", "F", "Fe", "Fe", "Fe", "Fe", "Fe", "Fe", "Fe", "Fe"],
  "frac_coords": [[0.2840, 0.9203, 0.1402], [0.7899, 0.2500, 0.6013], [0.2899, 0.7500, 0.8987], [0.7101, 0.2500, 0.1013], [0.7670, 0.9214, 0.1621], [0.1902, 0.2522, 0.5855], [0.2670, 0.4214, 0.3379], [0.7840, 0.4203, 0.3598], [0.2330, 0.4214, 0.8379], [0.8098, 0.7522, 0.4145], [0.6902, 0.7522, 0.9145], [0.2101, 0.7500, 0.3987], [0.7160, 0.4203, 0.8598], [0.2160, 0.9203, 0.6402], [0.3098, 0.2522, 0.0855], [0.7330, 0.9214, 0.6621], [0.8010, 0.2193, 0.7977], [0.0174, 0.6886, 0.5042], [0.6094, 0.0956, 0.5869], [0.2838, 0.9354, 0.4595], [0.4773, 0.4103, 0.7655], [0.5174, 0.1886, 0.9958], [0.4826, 0.6886, 0.0042], [0.6990, 0.2193, 0.2977], [0.3801, 0.4287, 0.1668], [0.8906, 0.0956, 0.0869], [0.1199, 0.4287, 0.6668], [0.9826, 0.1886, 0.4958], [0.6199, 0.9287, 0.8332], [0.7162, 0.4354, 0.5405], [0.3906, 0.5956, 0.4131], [0.7355, 0.6108, 0.2808], [0.3010, 0.7193, 0.7023], [0.8801, 0.9287, 0.3332], [0.6445, 0.7690, 0.5547], [0.0227, 0.4103, 0.2655], [0.1990, 0.7193, 0.2023], [0.2645, 0.1108, 0.7192], [0.3555, 0.2690, 0.4453], [0.7645, 0.6108, 0.7808], [0.1445, 0.2690, 0.9453], [0.2162, 0.9354, 0.9595], [0.2355, 0.1108, 0.2192], [0.9773, 0.9103, 0.7345], [0.8555, 0.7690, 0.0547], [0.1094, 0.5956, 0.9131], [0.7838, 0.4354, 0.0405], [0.5227, 0.9103, 0.2345], [0.9804, 0.1389, 0.2978], [0.0227, 0.0793, 0.8841], [0.9773, 0.5793, 0.1159], [0.5196, 0.1389, 0.7978], [0.4804, 0.6389, 0.2022], [0.0196, 0.6389, 0.7022], [0.5227, 0.5793, 0.6159], [0.4773, 0.0793, 0.3841]]
}


{
  "formula": "Li9Cr12Co7O48",
  "functional": "PBE with a Hubbard U",
  "state": "relaxed",
  "formation_energy_ev_per_atom": -1.74,
  "total_energy_ev_per_atom": -6.37,
  "total_magnetization_mub_per_cell": 22.00,
  "rho_g_cm3": 3.432,
  "sg": "P1 (1)",
  "lattice_angstrom": [[5.0878, 0.0042, 0.0093], [0.0087, 10.2775, -0.0097], [0.0320, -0.0165, 17.2753]],
  "species": ["Li", "Li", "Li", "Li", "Li", "Li", "Li", "Li", "Li", "O", "O", "O", "O", "O", "O", "O", "O", "O", "O", "O", "O", "O", "O", "O", "O", "O", "O", "O", "O", "O", "O", "O", "O", "O", "O", "O", "O", "O", "O", "O", "O", "O", "O", "O", "O", "O", "O", "O", "O", "O", "O", "O", "O", "O", "O", "O", "O", "Co", "Co", "Co", "Co", "Co", "Co", "Co", "Cr", "Cr", "Cr", "Cr", "Cr", "Cr", "Cr", "Cr", "Cr", "Cr", "Cr", "Cr"],
  "frac_coords": [[0.5959, 0.2520, 0.2503], [0.2596, 0.2537, 0.8007], [0.4045, 0.7487, 0.7505], [0.2449, 0.4221, 0.9706], [0.7391, 0.7447, 0.2005], [0.2539, 0.5784, 0.4694], [0.7451, 0.0784, 0.5280], [0.7535, 0.2498, 0.6973], [0.2490, 0.7472, 0.3045], [0.0512, 0.2433, 0.9983], [0.3343, 0.1127, 0.2016], [0.1018, 0.6267, 0.2084], [0.1050, 0.1178, 0.4672], [0.6105, 0.8763, 0.2901], [0.1445, 0.8833, 0.7054], [0.9096, 0.3773, 0.7905], [0.5883, 0.1171, 0.0342], [0.9037, 0.5080, 0.9243], [0.5935, 0.0032, 0.4235], [0.9179, 0.8751, 0.5330], [0.4430, 0.1052, 0.8725], [0.0904, 0.4993, 0.0756], [0.4031, 0.1199, 0.7108], [0.0608, 0.8937, 0.3738], [0.4053, 0.6252, 0.9663], [0.4005, 0.9930, 0.5775], [0.0830, 0.3762, 0.4668], [0.3303, 0.3876, 0.2012], [0.8954, 0.6175, 0.5337], [0.8497, 0.3865, 0.2960], [0.6034, 0.3788, 0.0341], [0.9515, 0.1056, 0.6312], [0.4522, 0.7565, 0.5006], [0.5953, 0.6202, 0.2901], [0.5586, 0.6044, 0.1268], [0.4544, 0.3996, 0.8680], [0.9073, 0.9961, 0.9252], [0.3914, 0.3750, 0.7076], [0.5505, 0.2578, 0.5007], [0.8997, 0.1238, 0.7926], [0.4045, 0.5038, 0.5771], [0.9394, 0.3949, 0.6247], [0.3379, 0.2514, 0.3497], [0.1468, 0.6139, 0.7027], [0.8508, 0.1119, 0.2987], [0.6664, 0.7522, 0.6529], [0.4029, 0.8818, 0.9666], [0.0886, 0.0008, 0.0749], [0.1022, 0.8773, 0.2097], [0.1447, 0.7506, 0.8503], [0.9413, 0.7503, 0.0027], [0.8543, 0.2472, 0.1490], [0.6000, 0.4936, 0.4243], [0.0496, 0.6055, 0.3693], [0.5570, 0.8946, 0.1282], [0.6671, 0.8858, 0.7981], [0.6725, 0.6175, 0.7948], [0.2545, 0.9314, 0.4736], [0.7432, 0.4281, 0.5240], [0.9066, 0.7500, 0.7460], [0.0939, 0.2508, 0.2527], [0.7478, 0.9272, 0.0283], [0.2480, 0.0732, 0.9744], [0.7475, 0.5690, 0.0275], [0.2744, 0.5284, 0.1544], [0.7829, 0.9724, 0.3458], [0.7260, 0.7510, 0.5550], [0.7800, 0.5261, 0.3441], [0.7298, 0.4746, 0.8441], [0.7806, 0.2478, 0.0558], [0.2762, 0.2509, 0.4449], [0.2199, 0.0260, 0.6564], [0.2167, 0.7506, 0.9447], [0.2769, 0.9722, 0.1556], [0.2159, 0.4721, 0.6536], [0.7219, 0.0277, 0.8456]]
}


{
  "formula": "KCe2FeO6",
  "functional": "PBE with a Hubbard U",
  "state": "relaxed",
  "formation_energy_ev_per_atom": -2.81,
  "total_energy_ev_per_atom": -7.29,
  "total_magnetization_mub_per_cell": 20.00,
  "rho_g_cm3": 5.349,
  "sg": "Pnma (62)",
  "lattice_angstrom": [[0.0000, 5.9940, 0.0000], [0.0000, 0.0000, 8.4459], [11.5581, 0.0000, 0.0000]],
  "species": ["K", "K", "K", "K", "Ce", "Ce", "Ce", "Ce", "Ce", "Ce", "Ce", "Ce", "O", "O", "O", "O", "O", "O", "O", "O", "O", "O", "O", "O", "O", "O", "O", "O", "O", "O", "O", "O", "O", "O", "O", "O", "Fe", "Fe", "Fe", "Fe"],
  "frac_coords": [[0.2500, 0.0192, 0.3709], [0.7500, 0.5192, 0.1291], [0.7500, 0.9808, 0.6291], [0.2500, 0.4808, 0.8709], [0.2500, 0.2146, 0.6405], [0.2500, 0.9963, 0.8823], [0.7500, 0.7146, 0.8595], [0.7500, 0.4963, 0.6177], [0.7500, 0.7854, 0.3595], [0.7500, 0.0037, 0.1177], [0.2500, 0.2854, 0.1405], [0.2500, 0.5037, 0.3823], [0.2500, 0.9484, 0.6772], [0.0332, 0.7368, 0.9692], [0.5238, 0.6749, 0.7015], [0.5238, 0.8251, 0.2015], [0.9668, 0.2368, 0.5308], [0.2500, 0.4910, 0.5687], [0.4762, 0.3251, 0.2985], [0.7500, 0.9910, 0.9313], [0.5332, 0.2368, 0.5308], [0.7500, 0.5090, 0.4313], [0.9762, 0.6749, 0.7015], [0.9668, 0.2632, 0.0308], [0.4668, 0.7632, 0.4692], [0.0332, 0.7632, 0.4692], [0.4762, 0.1749, 0.7985], [0.9762, 0.8251, 0.2015], [0.2500, 0.0090, 0.0687], [0.4668, 0.7368, 0.9692], [0.0238, 0.3251, 0.2985], [0.5332, 0.2632, 0.0308], [0.7500, 0.4484, 0.8228], [0.0238, 0.1749, 0.7985], [0.7500, 0.0516, 0.3228], [0.2500, 0.5516, 0.1772], [0.7500, 0.2359, 0.8938], [0.7500, 0.2641, 0.3938], [0.2500, 0.7359, 0.6062], [0.2500, 0.7641, 0.1062]]
}